The following is a DFT calculation (GGA-PBE) of crystalline HfCrCuS4 at its relaxed geometry.

## Properties
As for the excess energy over the best structure of this formula in the dataset: 199.7 meV/atom. The energy of formation comes out at -1089 meV per atom. As for the space group: No. 31.

a b c (Å): 11.3142 3.5494 12.7277
angles (deg): 90.00 90.00 90.00
Last column: nearest neighbours and their distance in Å.
Sites, in units of the cell vectors:
Cr 0.0425 0.2500 0.1179  6 S 2.36-2.53
Cr 0.9319 0.7500 0.4084  5 S 2.34-2.42
Cr 0.4575 0.7500 0.6179  6 S 2.36-2.53
Cr 0.5681 0.2500 0.9084  5 S 2.34-2.42
S 0.3249 0.2500 0.6503  2 Cr 2.36, 1 Hf 2.60
S 0.3599 0.2500 0.9350  1 Cr 2.38, 2 Cu 2.56, 2 Hf 2.57
S 0.7087 0.7500 0.3339  2 Hf 2.51, 1 Cr 2.70
S 0.1401 0.7500 0.4350  1 Cr 2.38, 2 Cu 2.56, 2 Hf 2.57
S 0.0798 0.7500 0.7184  1 Cu 2.40, 3 Hf 2.54-2.68
S 0.6097 0.2500 0.5767  2 Cu 2.39, 1 Hf 2.48, 2 Cr 2.53
S 0.9571 0.2500 0.2902  1 Cu 2.26, 3 Cr 2.34-2.40
S 0.0875 0.2500 0.9371  1 Cr 2.36, 2 Hf 2.54, 2 Cu 2.55
S 0.1751 0.7500 0.1503  2 Cr 2.36, 1 Hf 2.60
S 0.8903 0.7500 0.0767  2 Cu 2.39, 1 Hf 2.48, 2 Cr 2.53
S 0.6030 0.7500 0.0343  2 Cr 2.42, 1 Hf 2.47
S 0.4202 0.2500 0.2184  1 Cu 2.40, 3 Hf 2.54-2.68
S 0.4125 0.7500 0.4371  1 Cr 2.36, 2 Hf 2.54, 2 Cu 2.55
S 0.8970 0.2500 0.5343  2 Cr 2.42, 1 Hf 2.47
S 0.7913 0.2500 0.8339  2 Hf 2.51, 1 Cr 2.70
S 0.5429 0.7500 0.7902  1 Cu 2.26, 3 Cr 2.34-2.40
Hf 0.3902 0.7500 0.0781  6 S 2.47-2.60
Hf 0.5630 0.2500 0.3862  6 S 2.48-2.68
Hf 0.1098 0.2500 0.5781  6 S 2.47-2.60
Hf 0.9370 0.7500 0.8862  6 S 2.48-2.68
Cu 0.6962 0.7500 0.6763  3 S 2.26-2.39
Cu 0.8038 0.2500 0.1763  3 S 2.26-2.39
Cu 0.2226 0.7500 0.8573  5 S 2.40-2.56
Cu 0.2774 0.2500 0.3573  5 S 2.40-2.56

=====

The following is a DFT calculation (GGA-PBE) of crystalline HfCrCuS4 at its relaxed geometry.

## Properties
As for the excess energy over the best structure of this formula in the dataset: 380.0 meV/atom. The energy of formation comes out at -908 meV per atom. As for the space group: No. 62.

a b c (Å): 6.9931 7.6071 10.2622
angles (deg): 90.00 90.00 90.00
Last column: nearest neighbours and their distance in Å.
Sites, in units of the cell vectors:
S 0.7500 0.0905 0.5140  1 Cu 2.27, 1 Cr 2.42, 1 Hf 2.44
S 0.9745 0.5994 0.6571  1 Cu 2.35, 1 Cr 2.46, 2 Hf 2.58-2.61
S 0.5255 0.0994 0.8429  1 Cu 2.35, 1 Cr 2.46, 2 Hf 2.58-2.61
S 0.5255 0.5994 0.6571  1 Cu 2.35, 1 Cr 2.46, 2 Hf 2.58-2.61
S 0.0255 0.4006 0.3429  1 Cu 2.35, 1 Cr 2.46, 2 Hf 2.58-2.61
S 0.2500 0.2907 0.6332  2 Cr 2.27-2.33
S 0.4745 0.4006 0.3429  1 Cu 2.35, 1 Cr 2.46, 2 Hf 2.58-2.61
S 0.0255 0.9006 0.1571  1 Cu 2.35, 1 Cr 2.46, 2 Hf 2.58-2.61
S 0.2500 0.7907 0.8668  2 Cr 2.27-2.33
S 0.4745 0.9006 0.1571  1 Cu 2.35, 1 Cr 2.46, 2 Hf 2.58-2.61
S 0.7500 0.5905 0.9860  1 Cu 2.27, 1 Cr 2.42, 1 Hf 2.44
S 0.7500 0.2093 0.1332  2 Cr 2.27-2.33
S 0.9745 0.0994 0.8429  1 Cu 2.35, 1 Cr 2.46, 2 Hf 2.58-2.61
S 0.2500 0.9095 0.4860  1 Cu 2.27, 1 Cr 2.42, 1 Hf 2.44
S 0.7500 0.7093 0.3668  2 Cr 2.27-2.33
S 0.2500 0.4095 0.0140  1 Cu 2.27, 1 Cr 2.42, 1 Hf 2.44
Cr 0.7500 0.9894 0.2908  5 S 2.27-2.46
Cr 0.2500 0.5106 0.7908  5 S 2.27-2.46
Cr 0.7500 0.4894 0.2092  5 S 2.27-2.46
Cr 0.2500 0.0106 0.7092  5 S 2.27-2.46
Hf 0.2500 0.0884 0.0095  6 S 2.44-2.70
Hf 0.7500 0.9116 0.9905  6 S 2.44-2.70
Hf 0.7500 0.4116 0.5095  6 S 2.44-2.70
Hf 0.2500 0.5884 0.4905  6 S 2.44-2.70
Cu 0.2500 0.1821 0.3961  3 S 2.27-2.35
Cu 0.2500 0.6821 0.1039  3 S 2.27-2.35
Cu 0.7500 0.8179 0.6039  3 S 2.27-2.35
Cu 0.7500 0.3179 0.8961  3 S 2.27-2.35

=====

The following is a DFT calculation (GGA-PBE) of crystalline HfCrCuS4 at its relaxed geometry.

## Properties
As for the excess energy over the best structure of this formula in the dataset: 350.1 meV/atom. The energy of formation comes out at -938 meV per atom. As for the space group: No. 26.

a b c (Å): 6.8108 6.8387 11.2523
angles (deg): 90.00 90.00 90.00
Last column: nearest neighbours and their distance in Å.
Sites, in units of the cell vectors:
S 0.8828 0.2508 0.9048  1 Cu 2.32, 2 Cr 2.48-2.49, 1 Hf 2.49
S 0.2265 0.0000 0.3700  3 Hf 2.43-2.52
S 0.7265 0.0000 0.6300  3 Hf 2.43-2.52
S 0.3828 0.7492 0.0952  1 Cu 2.32, 2 Cr 2.48-2.49, 1 Hf 2.49
S 0.2692 0.5000 0.8771  3 Cr 2.35-2.59
S 0.1501 0.5000 0.2918  1 Cu 2.22, 2 Cr 2.29-2.36
S 0.8828 0.7492 0.9048  1 Cu 2.32, 2 Cr 2.48-2.49, 1 Hf 2.49
S 0.1106 0.2592 0.5970  1 Cu 2.34, 1 Hf 2.58, 1 Cr 2.58
S 0.3828 0.2508 0.0952  1 Cu 2.32, 2 Cr 2.48-2.49, 1 Hf 2.49
S 0.7692 0.5000 0.1229  3 Cr 2.35-2.59
S 0.1106 0.7408 0.5970  1 Cu 2.34, 1 Hf 2.58, 1 Cr 2.58
S 0.3631 0.0000 0.8021  1 Cu 2.23, 1 Hf 2.39
S 0.6106 0.2592 0.4030  1 Cu 2.34, 1 Hf 2.58, 1 Cr 2.58
S 0.6106 0.7408 0.4030  1 Cu 2.34, 1 Hf 2.58, 1 Cr 2.58
S 0.6501 0.5000 0.7082  1 Cu 2.22, 2 Cr 2.29-2.36
S 0.8631 0.0000 0.1979  1 Cu 2.23, 1 Hf 2.39
Cu 0.1534 0.0000 0.1053  3 S 2.23-2.32
Cu 0.8451 0.5000 0.3606  3 S 2.22-2.34
Cu 0.6534 0.0000 0.8947  3 S 2.23-2.32
Cu 0.3451 0.5000 0.6394  3 S 2.22-2.34
Cr 0.1193 0.5000 0.0891  4 S 2.29-2.48
Cr 0.4872 0.5000 0.2433  6 S 2.35-2.58
Cr 0.9872 0.5000 0.7567  6 S 2.35-2.58
Cr 0.6193 0.5000 0.9109  4 S 2.29-2.48
Hf 0.8827 0.0000 0.4265  5 S 2.43-2.58
Hf 0.3827 0.0000 0.5735  5 S 2.43-2.58
Hf 0.5166 0.0000 0.2340  6 S 2.39-2.68
Hf 0.0166 0.0000 0.7660  6 S 2.39-2.68

=====

The following is a DFT calculation (GGA-PBE) of crystalline HfCrCuS4 at its relaxed geometry.

## Properties
As for the excess energy over the best structure of this formula in the dataset: 0.0 meV/atom. The energy of formation comes out at -1288 meV per atom. As for the space group: No. 74.

a b c (Å): 7.1938 7.1938 7.1938
angles (deg): 119.92 119.61 90.40
Last column: nearest neighbours and their distance in Å.
Sites, in units of the cell vectors:
Cu 0.6290 0.8790 0.7500  4 S 2.30-2.31
Cu 0.3710 0.1210 0.2500  4 S 2.30-2.31
S 0.7430 0.7401 0.0029  1 Cu 2.31, 1 Cr 2.43, 2 Hf 2.54
S 0.2372 0.7401 0.4971  1 Cu 2.31, 1 Cr 2.43, 2 Hf 2.54
S 0.2510 0.2714 0.5204  1 Cu 2.30, 2 Cr 2.45, 1 Hf 2.55
S 0.2510 0.7305 0.9796  1 Cu 2.30, 2 Cr 2.45, 1 Hf 2.55
S 0.7490 0.2695 0.0204  1 Cu 2.30, 2 Cr 2.45, 1 Hf 2.55
S 0.7490 0.7286 0.4796  1 Cu 2.30, 2 Cr 2.45, 1 Hf 2.55
S 0.7628 0.2599 0.5029  1 Cu 2.31, 1 Cr 2.43, 2 Hf 2.54
S 0.2570 0.2599 0.9971  1 Cu 2.31, 1 Cr 2.43, 2 Hf 2.54
Hf 0.0000 0.5000 0.0000  6 S 2.54-2.55
Hf 0.0000 0.0000 0.5000  6 S 2.54-2.55
Cr 0.5000 0.5000 0.0000  6 S 2.43-2.45
Cr 0.0000 0.5000 0.5000  6 S 2.43-2.45

=====

The following is a DFT calculation (GGA-PBE) of crystalline HfCrCuS4 at its relaxed geometry.

## Properties
As for the excess energy over the best structure of this formula in the dataset: 70.4 meV/atom. The energy of formation comes out at -1218 meV per atom.

a b c (Å): 7.1513 6.0497 5.9679
angles (deg): 92.58 90.00 90.00
Last column: nearest neighbours and their distance in Å.
Sites, in units of the cell vectors:
S 0.7501 0.1614 0.7363  2 Cr 2.45, 1 Hf 2.54, 2 Cu 2.60
S 0.5000 0.6874 0.7425  1 Cu 2.38, 1 Cr 2.43, 2 Hf 2.54
S 0.2499 0.1614 0.7363  2 Cr 2.45, 1 Hf 2.54, 2 Cu 2.60
S 0.0000 0.6875 0.7424  1 Cu 2.38, 1 Cr 2.43, 2 Hf 2.54
S 0.5000 0.3126 0.2575  1 Cu 2.38, 1 Cr 2.43, 2 Hf 2.54
S 0.7500 0.8386 0.2637  2 Cr 2.45, 1 Hf 2.54, 2 Cu 2.60
S 0.0000 0.3125 0.2576  1 Cu 2.38, 1 Cr 2.43, 2 Hf 2.54
S 0.2500 0.8386 0.2637  2 Cr 2.45, 1 Hf 2.54, 2 Cu 2.60
Hf 0.2501 0.5000 0.5000  6 S 2.54
Hf 0.7499 0.5000 0.5000  6 S 2.54
Cr 0.5000 0.0000 0.5000  6 S 2.43-2.45
Cr 0.0000 0.9999 0.4999  6 S 2.43-2.45
Cu 0.5000 0.0000 0.0000  6 S 2.38-2.60
Cu 0.0000 0.0000 0.0000  6 S 2.38-2.60

=====

The following is a DFT calculation (GGA-PBE) of crystalline HfCrCuS4 at its relaxed geometry.

## Properties
As for the excess energy over the best structure of this formula in the dataset: 1.7 meV/atom. The energy of formation comes out at -1287 meV per atom. As for the space group: No. 24.

a b c (Å): 7.1622 7.1622 7.1622
angles (deg): 119.52 119.28 91.05
Last column: nearest neighbours and their distance in Å.
Sites, in units of the cell vectors:
S 0.0120 0.5150 0.5129  1 Cu 2.29, 1 Cr 2.44, 1 Hf 2.51
S 0.5007 0.5244 0.5209  1 Cu 2.31, 2 Cr 2.44-2.45, 1 Hf 2.54
S 0.4880 0.0008 0.5029  1 Cu 2.29, 1 Cr 2.44, 1 Hf 2.51
S 0.5035 0.9798 0.9791  1 Cu 2.31, 2 Cr 2.44-2.45, 1 Hf 2.54
S 0.9993 0.5202 0.0237  1 Cu 2.31, 2 Cr 2.44-2.45, 1 Hf 2.54
S 0.9965 0.9756 0.4763  1 Cu 2.31, 2 Cr 2.44-2.45, 1 Hf 2.54
S 0.9979 0.9850 0.9971  1 Cu 2.29, 1 Cr 2.44, 1 Hf 2.51
S 0.5021 0.4992 0.9871  1 Cu 2.29, 1 Cr 2.44, 1 Hf 2.51
Cu 0.6230 0.3730 0.2500  4 S 2.29-2.31
Cu 0.8770 0.1270 0.7500  4 S 2.29-2.31
Hf 0.2368 0.2500 0.4868  6 S 2.51-2.56
Hf 0.2632 0.7500 0.0132  6 S 2.51-2.56
Cr 0.2500 0.7523 0.5023  6 S 2.44-2.45
Cr 0.7500 0.7477 0.9977  6 S 2.44-2.45

=====

The following is a DFT calculation (GGA-PBE) of crystalline HfCrCuS4 at its relaxed geometry.

## Properties
As for the excess energy over the best structure of this formula in the dataset: 0.1 meV/atom. The energy of formation comes out at -1288 meV per atom. As for the space group: No. 46.

a b c (Å): 7.1779 7.1779 7.1779
angles (deg): 119.72 119.65 90.54
Last column: nearest neighbours and their distance in Å.
Sites, in units of the cell vectors:
Hf 0.9980 0.2544 0.7564  6 S 2.52-2.56
Hf 0.0020 0.7584 0.2564  6 S 2.52-2.56
S 0.2394 0.4943 0.2497  1 Cu 2.29, 1 Cr 2.45, 2 Hf 2.52-2.56
S 0.2517 0.0199 0.2682  1 Cu 2.31, 2 Cr 2.44, 1 Hf 2.52
S 0.2554 0.0103 0.7497  1 Cu 2.29, 1 Cr 2.45, 2 Hf 2.52-2.56
S 0.2498 0.4740 0.7242  1 Cu 2.30, 2 Cr 2.44, 1 Hf 2.55
S 0.7446 0.4943 0.7549  1 Cu 2.29, 1 Cr 2.45, 2 Hf 2.52-2.56
S 0.7502 0.4743 0.2242  1 Cu 2.30, 2 Cr 2.44, 1 Hf 2.55
S 0.7606 0.0103 0.2549  1 Cu 2.29, 1 Cr 2.45, 2 Hf 2.52-2.56
S 0.7483 0.0165 0.7682  1 Cu 2.31, 2 Cr 2.44, 1 Hf 2.52
Cr 0.0000 0.2471 0.2471  6 S 2.44-2.45
Cr 0.5000 0.2471 0.7471  6 S 2.44-2.45
Cu 0.3704 0.8645 0.9941  4 S 2.29-2.31
Cu 0.6296 0.6238 0.4941  4 S 2.29-2.31

=====

The following is a DFT calculation (GGA-PBE) of crystalline HfCrCuS4 at its relaxed geometry.

## Properties
As for the excess energy over the best structure of this formula in the dataset: 267.5 meV/atom. The energy of formation comes out at -1021 meV per atom. As for the space group: No. 1.

a b c (Å): 6.4907 7.4169 12.3958
angles (deg): 81.56 85.15 90.20
Last column: nearest neighbours and their distance in Å.
Sites, in units of the cell vectors:
Cr 0.2423 0.8811 0.9990  6 S 2.41-2.49
Cr 0.3774 0.0449 0.2919  4 S 2.29-2.39
Cr 0.6347 0.9594 0.7020  4 S 2.24-2.33
Cr 0.6335 0.4386 0.7054  4 S 2.22-2.31
Cu 0.8744 0.8044 0.2936  4 S 2.29-2.32
Cu 0.1238 0.1985 0.7040  4 S 2.27-2.31
Cu 0.7465 0.6324 0.0001  6 S 2.48-2.55
Cu 0.2572 0.3713 0.9926  6 S 2.45-2.66
S 0.3933 0.6078 0.0993  1 Hf 2.40, 1 Cr 2.47, 2 Cu 2.50-2.54
S 0.1782 0.7918 0.3752  1 Cu 2.29, 1 Cr 2.33, 1 Hf 2.37
S 0.6052 0.4068 0.8871  1 Cr 2.22
S 0.1109 0.1469 0.8925  2 Cu 2.31-2.45, 1 Cr 2.41, 1 Hf 2.49
S 0.9094 0.8436 0.1065  2 Cu 2.29-2.48, 1 Cr 2.43, 1 Hf 2.47
S 0.5834 0.8990 0.8886  2 Cr 2.29-2.49, 1 Cu 2.53
S 0.3919 0.0954 0.1045  2 Cr 2.29-2.45, 1 Cu 2.50
S 0.6809 0.0151 0.3758  1 Cr 2.30, 1 Cu 2.31, 1 Hf 2.37
S 0.1948 0.2749 0.3759  1 Cr 2.39, 2 Hf 2.44
S 0.1028 0.6548 0.8964  1 Hf 2.39, 1 Cr 2.46, 2 Cu 2.52-2.54
S 0.6940 0.5423 0.3763  1 Cu 2.32, 2 Hf 2.42
S 0.7943 0.7143 0.6336  2 Cr 2.31-2.33, 1 Hf 2.45
S 0.3218 0.4533 0.6315  1 Cr 2.29, 1 Cu 2.31, 1 Hf 2.42
S 0.3202 0.9811 0.6299  1 Cr 2.29, 1 Cu 2.31, 1 Hf 2.39
S 0.8091 0.2190 0.6363  2 Cr 2.22-2.24, 1 Cu 2.27
S 0.8906 0.3555 0.1065  2 Hf 2.38-2.57, 2 Cu 2.50-2.66
Hf 0.1388 0.7016 0.7004  4 S 2.39-2.45
Hf 0.7653 0.1119 0.9979  6 S 2.47-2.67
Hf 0.3665 0.5633 0.2960  4 S 2.37-2.44
Hf 0.8587 0.2910 0.3014  4 S 2.37-2.44

=====

Please write out number 7 again, unchanged.
The following is a DFT calculation (GGA-PBE) of crystalline HfCrCuS4 at its relaxed geometry.

## Properties
As for the excess energy over the best structure of this formula in the dataset: 0.1 meV/atom. The energy of formation comes out at -1288 meV per atom. As for the space group: No. 46.

a b c (Å): 7.1779 7.1779 7.1779
angles (deg): 119.72 119.65 90.54
Last column: nearest neighbours and their distance in Å.
Sites, in units of the cell vectors:
Hf 0.9980 0.2544 0.7564  6 S 2.52-2.56
Hf 0.0020 0.7584 0.2564  6 S 2.52-2.56
S 0.2394 0.4943 0.2497  1 Cu 2.29, 1 Cr 2.45, 2 Hf 2.52-2.56
S 0.2517 0.0199 0.2682  1 Cu 2.31, 2 Cr 2.44, 1 Hf 2.52
S 0.2554 0.0103 0.7497  1 Cu 2.29, 1 Cr 2.45, 2 Hf 2.52-2.56
S 0.2498 0.4740 0.7242  1 Cu 2.30, 2 Cr 2.44, 1 Hf 2.55
S 0.7446 0.4943 0.7549  1 Cu 2.29, 1 Cr 2.45, 2 Hf 2.52-2.56
S 0.7502 0.4743 0.2242  1 Cu 2.30, 2 Cr 2.44, 1 Hf 2.55
S 0.7606 0.0103 0.2549  1 Cu 2.29, 1 Cr 2.45, 2 Hf 2.52-2.56
S 0.7483 0.0165 0.7682  1 Cu 2.31, 2 Cr 2.44, 1 Hf 2.52
Cr 0.0000 0.2471 0.2471  6 S 2.44-2.45
Cr 0.5000 0.2471 0.7471  6 S 2.44-2.45
Cu 0.3704 0.8645 0.9941  4 S 2.29-2.31
Cu 0.6296 0.6238 0.4941  4 S 2.29-2.31

=====

Which formula does entry 5 have?
HfCrCuS4